Below is crystalline HoInAg2 at its relaxed geometry, with properties calculated at the PBE level.

Cell lengths 4.944, 4.944, 4.944 Å; angles 60.00, 60.00, 60.00 degrees
Atoms (fractional coordinates):
Ho1 0.000 0.000 0.000
In1 0.500 0.500 0.500
Ag1 0.250 0.250 0.250
Ag2 0.750 0.750 0.750

Summary:
Its raw total energy is -14.46 eV/cell.


Below is crystalline Li3PS4 at its relaxed geometry, with properties calculated at the PBE level.

Cell lengths 13.184, 8.132, 6.213 Å; angles 90.00, 90.00, 90.00 degrees
Atoms (fractional coordinates):
Li1 0.000 0.000 0.000
Li2 0.000 0.500 0.000
Li3 0.168 0.032 0.389
Li4 0.168 0.468 0.389
Li5 0.332 0.532 0.889
Li6 0.332 0.968 0.889
Li7 0.500 0.000 0.500
Li8 0.500 0.500 0.500
Li9 0.668 0.032 0.111
Li10 0.668 0.468 0.111
Li11 0.832 0.532 0.611
Li12 0.832 0.968 0.611
P1 0.089 0.750 0.654
P2 0.411 0.250 0.154
P3 0.589 0.750 0.846
P4 0.911 0.250 0.346
S1 0.059 0.250 0.227
S2 0.101 0.750 0.326
S3 0.152 0.538 0.773
S4 0.152 0.962 0.773
S5 0.348 0.038 0.273
S6 0.348 0.462 0.273
S7 0.399 0.250 0.826
S8 0.441 0.750 0.727
S9 0.559 0.250 0.273
S10 0.601 0.750 0.174
S11 0.652 0.538 0.727
S12 0.652 0.962 0.727
S13 0.848 0.038 0.227
S14 0.848 0.462 0.227
S15 0.899 0.250 0.674
S16 0.941 0.750 0.773

Summary:
Its raw total energy is -140.54 eV/cell.


Below is crystalline Na3In2Ga2P3S3O24 at its relaxed geometry, with properties calculated at the PBE level.

Cell lengths 8.760, 8.764, 22.693 Å; angles 89.92, 88.68, 60.04 degrees
Atoms (fractional coordinates):
Na1 0.000 0.000 0.000
Na2 0.001 0.717 0.501
Na3 0.332 0.327 0.666
Na4 0.343 0.684 0.420
Na5 0.346 0.686 0.915
Na6 0.655 0.031 0.083
Na7 0.665 0.024 0.585
Na8 0.980 0.358 0.750
Na9 0.998 0.358 0.251
In1 0.001 0.345 0.099
In2 0.318 0.697 0.271
In3 0.338 0.691 0.067
In4 0.677 0.019 0.234
In5 0.995 0.367 0.404
In6 0.997 0.350 0.897
Ga1 0.323 0.693 0.766
Ga2 0.346 0.671 0.570
Ga3 0.656 0.021 0.438
Ga4 0.662 0.032 0.932
Ga5 0.690 0.020 0.732
Ga6 0.983 0.379 0.601
P1 0.035 0.990 0.166
P2 0.041 0.692 0.666
P3 0.298 0.353 0.504
P4 0.307 0.060 0.997
P5 0.625 0.401 0.670
P6 0.694 0.657 0.504
P7 0.697 0.354 0.998
P8 0.954 0.734 0.339
P9 0.961 0.014 0.833
S1 0.000 0.064 0.503
S2 0.331 0.392 0.168
S3 0.331 0.980 0.668
S4 0.374 0.024 0.336
S5 0.381 0.315 0.831
S6 0.630 0.690 0.169
S7 0.660 0.742 0.832
S8 0.665 0.316 0.337
S9 0.993 0.656 0.999
O1 0.017 0.174 0.166
O2 0.024 0.546 0.946
O3 0.028 0.521 0.660
O4 0.032 0.134 0.448
O5 0.114 0.887 0.108
O6 0.123 0.724 0.609
O7 0.138 0.719 0.337
O8 0.145 0.902 0.221
O9 0.146 0.844 0.825
O10 0.149 0.680 0.003
O11 0.155 0.884 0.510
O12 0.162 0.652 0.720
O13 0.167 0.382 0.164
O14 0.173 0.160 0.663
O15 0.180 0.398 0.450
O16 0.184 0.142 0.945
O17 0.194 0.178 0.341
O18 0.201 0.338 0.836
O19 0.212 0.322 0.561
O20 0.235 0.169 0.055
O21 0.302 0.902 0.722
O22 0.310 0.494 0.223
O23 0.312 0.524 0.512
O24 0.316 0.879 0.003
O25 0.361 0.469 0.115
O26 0.361 0.870 0.615
O27 0.366 0.492 0.826
O28 0.366 0.859 0.334
O29 0.449 0.051 0.281
O30 0.462 0.205 0.777
O31 0.479 0.007 0.389
O32 0.483 0.189 0.494
O33 0.483 0.234 0.885
O34 0.487 0.212 0.172
O35 0.489 0.004 0.673
O36 0.493 0.036 0.988
O37 0.501 0.722 0.827
O38 0.506 0.475 0.615
O39 0.506 0.495 0.334
O40 0.508 0.683 0.515
O41 0.511 0.512 0.005
O42 0.531 0.710 0.115
O43 0.538 0.520 0.725
O44 0.549 0.663 0.223
O45 0.635 0.847 0.886
O46 0.637 0.216 0.677
O47 0.639 0.229 0.390
O48 0.640 0.853 0.172
O49 0.684 0.826 0.778
O50 0.687 0.221 0.281
O51 0.687 0.839 0.496
O52 0.691 0.180 0.990
O53 0.763 0.546 0.447
O54 0.776 0.394 0.944
O55 0.810 0.534 0.164
O56 0.811 0.378 0.659
O57 0.812 0.315 0.053
O58 0.822 0.565 0.835
O59 0.823 0.573 0.555
O60 0.827 0.329 0.341
O61 0.835 0.834 0.994
O62 0.840 0.044 0.498
O63 0.844 0.045 0.779
O64 0.850 0.008 0.169
O65 0.852 0.811 0.282
O66 0.854 0.855 0.674
O67 0.862 0.846 0.395
O68 0.878 0.989 0.891
O69 0.965 0.579 0.054
O70 0.970 0.179 0.555
O71 0.976 0.547 0.340
O72 0.981 0.179 0.835

Summary:
Its raw total energy is -690.87 eV/cell.


Below is crystalline Sb3O2F5 at its relaxed geometry, with properties calculated at the PBE level.

Cell lengths 13.461, 6.087, 9.355 Å; angles 90.00, 108.92, 90.00 degrees
Atoms (fractional coordinates):
Sb1 0.000 0.056 0.250
Sb2 0.000 0.944 0.750
Sb3 0.209 0.433 0.115
Sb4 0.209 0.567 0.615
Sb5 0.362 0.043 0.412
Sb6 0.362 0.957 0.912
Sb7 0.500 0.376 0.250
Sb8 0.500 0.624 0.750
Sb9 0.638 0.043 0.088
Sb10 0.638 0.957 0.588
Sb11 0.791 0.433 0.385
Sb12 0.791 0.567 0.885
O1 0.339 0.260 0.219
O2 0.339 0.740 0.719
O3 0.492 0.161 0.079
O4 0.492 0.839 0.579
O5 0.508 0.161 0.421
O6 0.508 0.839 0.921
O7 0.661 0.260 0.281
O8 0.661 0.740 0.781
F1 0.043 0.273 0.415
F2 0.043 0.727 0.915
F3 0.150 0.138 0.231
F4 0.150 0.862 0.731
F5 0.156 0.226 0.945
F6 0.156 0.774 0.445
F7 0.296 0.451 0.491
F8 0.296 0.549 0.991
F9 0.360 0.197 0.767
F10 0.360 0.803 0.267
F11 0.640 0.197 0.733
F12 0.640 0.803 0.233
F13 0.704 0.451 0.009
F14 0.704 0.549 0.509
F15 0.844 0.226 0.555
F16 0.844 0.774 0.055
F17 0.850 0.138 0.269
F18 0.850 0.862 0.769
F19 0.957 0.273 0.085
F20 0.957 0.727 0.585

Summary:
Its raw total energy is -208.80 eV/cell.